No. 1
A relaxed CaMo2O4 crystal, computed with PBE+U.

a = 7.3026 Å, b = 7.3026 Å, c = 9.8416 Å
α = 55.98°, β = 55.98°, γ = 26.30°
Closest atoms and distances in Å follow each position.
Atoms (fractional coordinates):
1 O 0.1648 0.1648 0.9916  3 Mo 2.27-2.31, 2 Ca 2.38
2 O 0.4537 0.4537 0.3029  3 Mo 2.14-2.17
3 O 0.5463 0.5463 0.6971  3 Mo 2.14-2.17
4 O 0.8352 0.8352 0.0084  3 Mo 2.27-2.31, 2 Ca 2.38
5 O 0.2409 0.2409 0.6252  3 Mo 2.15-2.24, 2 Ca 2.30
6 O 0.8677 0.8677 0.6917  3 Mo 2.13-2.22
7 O 0.7591 0.7591 0.3748  3 Mo 2.15-2.24, 2 Ca 2.30
8 O 0.1323 0.1323 0.3083  3 Mo 2.13-2.22
9 Mo 0.6367 0.6367 0.1690  6 O 2.13-2.31
10 Mo 0.8619 0.8619 0.4711  6 O 2.15-2.24
11 Mo 0.1381 0.1381 0.5289  6 O 2.15-2.24
12 Mo 0.3633 0.3633 0.8310  6 O 2.13-2.31
13 Ca 0.3396 0.3396 0.1772  6 O 2.30-2.54
14 Ca 0.6604 0.6604 0.8228  6 O 2.30-2.54

## Properties
Energy relative to the elements: -2167 meV/atom
SG: C2/m (12)
Energy above the most stable polymorph in this dataset: 2.98 kcal/mol of atoms
Total energy: -7.073 eV per atom
E (MP2020): -8.380 eV/atom

***

No. 2
A relaxed Li9Mn7O16 crystal, computed with PBE+U.

a = 5.7530 Å, b = 5.8455 Å, c = 8.8258 Å
α = 89.48°, β = 90.00°, γ = 90.00°
Closest atoms and distances in Å follow each position.
Atoms (fractional coordinates):
1 O 0.2385 0.7643 0.9871  2 Mn 1.95-2.01, 3 Li 2.04-2.16
2 O 0.7493 0.7277 0.5058  2 Mn 1.96, 2 Li 2.14-2.15
3 O 0.7493 0.2723 0.4942  2 Mn 1.96, 2 Li 2.14-2.15
4 O 0.5000 0.0242 0.2553  2 Mn 1.94, 3 Li 2.13-2.16
5 O 0.0000 0.9835 0.7429  2 Mn 1.98, 3 Li 2.13-2.15
6 O 0.7615 0.7643 0.9871  2 Mn 1.95-2.01, 3 Li 2.04-2.16
7 O 0.5000 0.4808 0.2441  2 Mn 1.98, 3 Li 2.12-2.16
8 O 0.0000 0.0165 0.2571  2 Mn 1.98, 3 Li 2.13-2.15
9 O 0.2507 0.2723 0.4942  2 Mn 1.96, 2 Li 2.14-2.15
10 O 0.5000 0.5192 0.7559  2 Mn 1.98, 3 Li 2.12-2.16
11 O 0.0000 0.4742 0.2500  2 Mn 1.97, 2 Li 2.19
12 O 0.5000 0.9758 0.7447  2 Mn 1.94, 3 Li 2.13-2.16
13 O 0.2385 0.2357 0.0129  2 Mn 1.95-2.01, 3 Li 2.04-2.16
14 O 0.7615 0.2357 0.0129  2 Mn 1.95-2.01, 3 Li 2.04-2.16
15 O 0.2507 0.7277 0.5058  2 Mn 1.96, 2 Li 2.14-2.15
16 O 0.0000 0.5258 0.7500  2 Mn 1.97, 2 Li 2.19
17 Mn 0.0000 0.0000 0.0000  4 O 1.95
18 Mn 0.7488 0.7536 0.7594  5 O 1.94-2.01
19 Mn 0.2512 0.7536 0.7594  5 O 1.94-2.01
20 Mn 0.2512 0.2464 0.2406  5 O 1.94-2.01
21 Mn 0.0000 0.5000 0.5000  4 O 1.96
22 Mn 0.5000 0.5000 0.5000  4 O 1.96
23 Mn 0.7488 0.2464 0.2406  5 O 1.94-2.01
24 Li 0.0000 0.0000 0.5000  6 O 2.15
25 Li 0.7456 0.7520 0.2409  6 O 2.12-2.34
26 Li 0.5000 0.0000 0.5000  6 O 2.14-2.16
27 Li 0.2544 0.7520 0.2409  6 O 2.12-2.34
28 Li 0.0000 0.5000 0.0000  6 O 2.07-2.21
29 Li 0.2544 0.2480 0.7591  6 O 2.12-2.34
30 Li 0.7456 0.2480 0.7591  6 O 2.12-2.34
31 Li 0.5000 0.0000 0.0000  6 O 2.04-2.26
32 Li 0.5000 0.5000 0.0000  6 O 2.16

## Properties
Energy relative to the elements: -2117 meV/atom
SG: P2/m (10)
Energy above the most stable polymorph in this dataset: 0.64 kcal/mol of atoms
Total energy: -6.423 eV per atom
E (MP2020): -7.132 eV/atom

***

No. 3
A relaxed Na3Fe5O8 crystal, computed with PBE+U.

a = 8.7251 Å, b = 8.8531 Å, c = 8.8861 Å
α = 90.52°, β = 90.43°, γ = 89.54°
Closest atoms and distances in Å follow each position.
Atoms (fractional coordinates):
1 O 0.6153 0.8951 0.1349  3 Fe 2.05-2.18
2 O 0.3996 0.1390 0.1261  2 Fe 1.97-2.03
3 O 0.6298 0.8794 0.6078  3 Fe 2.04-2.28, 2 Na 2.18-2.26
4 O 0.8601 0.8577 0.8606  3 Fe 2.07-2.11
5 O 0.6394 0.6308 0.3706  3 Fe 2.06-2.22, 2 Na 2.20-2.28
6 O 0.1352 0.3624 0.6460  3 Fe 2.04-2.13
7 O 0.3700 0.6402 0.5971  2 Fe 1.95-2.12, 1 Na 2.15
8 O 0.6515 0.6053 0.8789  2 Fe 1.95-2.06, 1 Na 2.19
9 O 0.1051 0.1498 0.8640  3 Fe 1.99-2.18
10 O 0.8540 0.1052 0.1258  4 Fe 2.01-2.23
11 O 0.6110 0.3716 0.6422  3 Fe 2.04-2.28, 2 Na 2.19-2.25
12 O 0.1223 0.8925 0.6276  3 Fe 2.05-2.16, 2 Na 2.21-2.26
13 O 0.3624 0.6165 0.1453  3 Fe 2.05-2.21
14 O 0.8579 0.8586 0.3899  3 Fe 2.04-2.09
15 O 0.8706 0.3871 0.8573  4 Fe 2.08-2.29
16 O 0.3999 0.8721 0.8501  2 Fe 1.97-2.01, 1 Na 2.19
17 O 0.3968 0.8559 0.3841  3 Fe 2.00-2.17
18 O 0.6116 0.3573 0.1169  3 Fe 2.02-2.19
19 O 0.0999 0.6026 0.8922  3 Fe 2.00-2.11
20 O 0.0980 0.1292 0.3979  2 Fe 1.98-1.99, 1 Na 2.18
21 O 0.8571 0.3960 0.3943  3 Fe 2.03-2.04
22 O 0.8781 0.6438 0.6235  3 Fe 2.07-2.20, 2 Na 2.17-2.25
23 O 0.3511 0.1070 0.6223  2 Fe 2.00-2.03, 1 Na 2.22
24 O 0.3815 0.3779 0.8840  4 Fe 2.10-2.33, 2 Na 2.21-2.27
25 O 0.8824 0.1094 0.6304  4 Fe 2.05-2.27
26 O 0.8935 0.6426 0.1384  3 Fe 2.05-2.13
27 O 0.1198 0.6221 0.3565  3 Fe 2.05-2.14, 2 Na 2.22-2.28
28 O 0.1499 0.3861 0.1034  3 Fe 2.03-2.16
29 O 0.6381 0.1219 0.3516  2 Fe 2.00-2.05
30 O 0.3917 0.3955 0.3668  3 Fe 2.03-2.17
31 O 0.1431 0.8553 0.1213  2 Fe 2.02-2.04, 2 Na 2.19-2.25
32 O 0.6418 0.1414 0.9008  3 Fe 2.03-2.09
33 Fe 0.8757 0.8780 0.6243  6 O 2.05-2.16
34 Fe 0.6248 0.1264 0.1274  6 O 1.97-2.05
35 Fe 0.8716 0.3688 0.6222  3 O 2.04-2.28
36 Fe 0.3753 0.8784 0.1260  2 O 2.04-2.10
37 Fe 0.8722 0.1262 0.3756  2 O 1.98-2.05
38 Fe 0.8737 0.6219 0.8607  5 O 1.95-2.12
39 Fe 0.3806 0.3677 0.1237  6 O 2.02-2.21
40 Fe 0.8753 0.6237 0.3767  6 O 2.03-2.20
41 Fe 0.6242 0.3807 0.3770  3 O 2.03-2.22
42 Fe 0.3694 0.8784 0.6260  5 O 2.01-2.17
43 Fe 0.8788 0.8777 0.1267  2 O 2.02-2.09
44 Fe 0.8752 0.1250 0.8790  4 O 2.02-2.21
45 Fe 0.6243 0.8731 0.8743  2 O 1.97-2.07
46 Fe 0.1326 0.3727 0.8754  5 O 1.99-2.17
47 Fe 0.6250 0.8693 0.3785  5 O 2.00-2.18
48 Fe 0.1280 0.6278 0.1266  6 O 2.02-2.16
49 Fe 0.3745 0.3749 0.6215  3 O 2.07-2.28
50 Fe 0.1227 0.1235 0.6202  6 O 1.99-2.18
51 Fe 0.3644 0.6243 0.3776  5 O 1.95-2.14
52 Fe 0.6214 0.3752 0.8716  6 O 2.04-2.19
53 Na 0.6160 0.1252 0.6249  5 O 2.18-2.44
54 Na 0.3741 0.1220 0.8745  6 O 2.23-2.36
55 Na 0.1239 0.3719 0.3728  6 O 2.18-2.43
56 Na 0.8765 0.3709 0.1270  6 O 2.32-2.41
57 Na 0.3701 0.1271 0.3746  6 O 2.22-2.41
58 Na 0.1259 0.6263 0.6256  6 O 2.15-2.39
59 Na 0.6264 0.6240 0.1229  6 O 2.19-2.40
60 Na 0.1254 0.8790 0.3734  6 O 2.23-2.38
61 Na 0.3756 0.6277 0.8719  6 O 2.19-2.45
62 Na 0.6212 0.6252 0.6264  6 O 2.21-2.28
63 Na 0.1306 0.8769 0.8759  6 O 2.19-2.45
64 Na 0.1260 0.1225 0.1304  6 O 2.36-2.39

## Properties
Energy relative to the elements: -1641 meV/atom
SG: P1 (1)
Total energy: -5.962 eV per atom
E (MP2020): -7.010 eV/atom